Record 1
A relaxed structure of GdSe. Source: the Materials Project, functional PBE.

Cell lengths 5.8684, 5.8684, 5.8684 Å; angles 90.00, 90.00, 90.00 degrees
Closest atoms and distances in Å follow each position.
Space group Fm-3m (No. 225)
Asymmetric unit:
Gd 0.0000 0.0000 0.0000 (multiplicity 4)  6 Se 2.93
Se 0.0000 0.0000 0.5000 (multiplicity 4)  6 Gd 2.93

- Energy relative to the elements: -2.08 eV per atom



Record 2
A relaxed structure of Gd2Se3. Source: the Materials Project, functional PBE.

Cell lengths 11.2575, 4.0911, 11.0875 Å; angles 90.00, 90.00, 90.00 degrees
Closest atoms and distances in Å follow each position.
Space group Pnma (No. 62)
Asymmetric unit:
Gd 0.0103 0.2500 0.1869 (multiplicity 4)  7 Se 2.91-2.97
Gd 0.1923 0.2500 0.5044 (multiplicity 4)  7 Se 2.99-3.01
Se 0.0449 0.7500 0.3738 (multiplicity 4)  5 Gd 2.94-3.01
Se 0.1201 0.2500 0.9446 (multiplicity 4)  5 Gd 2.91-3.01
Se 0.2285 0.7500 0.6981 (multiplicity 4)  4 Gd 2.94-2.99, 1 Se 3.29

- Energy relative to the elements: -2.18 eV per atom



Record 3
A relaxed structure of Gd3Se4. Source: the Materials Project, functional PBE.

Cell lengths 8.7622, 8.7622, 8.7622 Å; angles 90.00, 90.00, 90.00 degrees
Closest atoms and distances in Å follow each position.
Space group I-43d (No. 220)
Asymmetric unit:
Gd 0.0000 0.2500 0.8750 (multiplicity 12)  8 Se 2.95-3.12
Se 0.0740 0.4260 0.5740 (multiplicity 16)  6 Gd 2.95-3.12

- Energy relative to the elements: -2.14 eV per atom



Record 4
A relaxed structure of Gd2USe5. Source: the Materials Project, functional PBE.

Cell lengths 12.0595, 8.2655, 7.6785 Å; angles 90.00, 90.00, 90.00 degrees
Closest atoms and distances in Å follow each position.
Space group Pnma (No. 62)
Asymmetric unit:
Gd 0.1779 0.0014 0.0300 (multiplicity 8)  8 Se 2.96-3.10
U 0.0107 0.7500 0.5772 (multiplicity 4)  7 Se 2.76-2.96
Se 0.0002 0.2500 0.0373 (multiplicity 4)  1 U 2.96, 4 Gd 2.97-3.03
Se 0.0936 0.0485 0.6718 (multiplicity 8)  2 U 2.76-2.83, 2 Gd 2.96-2.99
Se 0.1874 0.7500 0.3290 (multiplicity 4)  1 U 2.86, 4 Gd 3.04-3.10
Se 0.2197 0.2500 0.3056 (multiplicity 4)  1 U 2.92, 4 Gd 2.97-2.99

- Energy relative to the elements: -1.88 eV per atom



Record 5
A relaxed structure of Gd2ZrSe5. Source: the Materials Project, functional PBE.

Cell lengths 12.1844, 8.1896, 7.6651 Å; angles 90.00, 90.00, 90.00 degrees
Closest atoms and distances in Å follow each position.
Space group Pnma (No. 62)
Asymmetric unit:
Gd 0.1785 0.0032 0.0252 (multiplicity 8)  8 Se 2.97-3.14
Zr 0.0064 0.7500 0.5769 (multiplicity 4)  7 Se 2.66-2.85
Se 0.0032 0.7500 0.9480 (multiplicity 4)  1 Zr 2.85, 4 Gd 3.01-3.04
Se 0.0924 0.0372 0.6634 (multiplicity 8)  2 Zr 2.66-2.81
Se 0.1821 0.7500 0.3327 (multiplicity 4)  1 Zr 2.84, 4 Gd 3.02-3.14
Se 0.2084 0.2500 0.3131 (multiplicity 4)  1 Zr 2.75, 4 Gd 2.97-3.01

- Energy relative to the elements: -1.97 eV per atom



Record 6
A relaxed structure of Gd5Si4. Source: the Materials Project, functional PBE.

Cell lengths 7.5174, 7.7697, 14.8047 Å; angles 89.98, 89.99, 89.94 degrees
Closest atoms and distances in Å follow each position.
Space group P1 (No. 1)
Asymmetric unit:
Gd 0.0000 0.0000 0.0000 (multiplicity 1)  6 Si 2.89-3.06
Gd 0.9998 0.9995 0.2558 (multiplicity 1)  6 Si 2.89-3.06
Gd 0.0398 0.1665 0.6299 (multiplicity 1)  5 Si 2.95-3.13
Gd 0.1553 0.4957 0.9752 (multiplicity 1)  6 Si 3.08-3.19
Gd 0.1559 0.4965 0.2808 (multiplicity 1)  6 Si 3.09-3.18
Gd 0.2128 0.8619 0.7814 (multiplicity 1)  6 Si 3.07-3.16
Gd 0.2142 0.8627 0.4784 (multiplicity 1)  6 Si 3.07-3.16
Gd 0.3293 0.1898 0.1273 (multiplicity 1)  5 Si 2.95-3.15
Gd 0.3682 0.3587 0.5027 (multiplicity 1)  6 Si 2.90-3.05
Gd 0.3684 0.3594 0.7567 (multiplicity 1)  6 Si 2.88-3.06
Gd 0.5006 0.8588 0.0004 (multiplicity 1)  6 Si 2.88-3.06
Gd 0.5010 0.8593 0.2556 (multiplicity 1)  6 Si 2.88-3.06
Gd 0.5399 0.6917 0.6299 (multiplicity 1)  5 Si 2.94-3.13
Gd 0.6539 0.3612 0.2804 (multiplicity 1)  6 Si 3.08-3.18
Gd 0.6555 0.3626 0.9754 (multiplicity 1)  6 Si 3.08-3.18
Gd 0.7124 0.9954 0.4774 (multiplicity 1)  6 Si 3.09-3.18
Gd 0.7132 0.9957 0.7816 (multiplicity 1)  6 Si 3.08-3.17
Gd 0.8264 0.6686 0.1266 (multiplicity 1)  6 Si 2.96-3.31
Gd 0.8675 0.5001 0.7570 (multiplicity 1)  6 Si 2.88-3.05
Gd 0.8674 0.5007 0.5030 (multiplicity 1)  6 Si 2.91-3.04
Si 0.0405 0.2073 0.8385 (multiplicity 1)  1 Si 2.50
Si 0.0408 0.2063 0.4194 (multiplicity 1)  1 Si 2.50
Si 0.1637 0.5798 0.6296 (multiplicity 1)  1 Si 2.50
Si 0.2062 0.7803 0.1283 (multiplicity 1)  1 Si 2.50
Si 0.3279 0.1500 0.3391 (multiplicity 1)  1 Si 2.50
Si 0.3284 0.1509 0.9184 (multiplicity 1)  1 Si 2.50
Si 0.4251 0.0534 0.6292 (multiplicity 1)  1 Si 2.51
Si 0.4438 0.5542 0.1279 (multiplicity 1)  1 Si 2.50
Si 0.5403 0.6514 0.8387 (multiplicity 1)  1 Si 2.49
Si 0.5398 0.6524 0.4194 (multiplicity 1)  1 Si 2.50
Si 0.6628 0.2795 0.6297 (multiplicity 1)  1 Si 2.51
Si 0.7048 0.0786 0.1281 (multiplicity 1)  1 Si 2.50
Si 0.8270 0.7071 0.9183 (multiplicity 1)  1 Si 2.49
Si 0.8268 0.7082 0.3392 (multiplicity 1)  1 Si 2.50
Si 0.9242 0.8039 0.6296 (multiplicity 1)  1 Si 2.50
Si 0.9427 0.3040 0.1277 (multiplicity 1)  1 Si 2.50

- Energy relative to the elements: -0.70 eV per atom



Record 7
A relaxed structure of GdSi. Source: the Materials Project, functional PBE.

Cell lengths 7.9908, 3.8965, 5.7307 Å; angles 90.00, 90.00, 90.00 degrees
Closest atoms and distances in Å follow each position.
Space group Pnma (No. 62)
Asymmetric unit:
Gd 0.1806 0.2500 0.1144 (multiplicity 4)  7 Si 2.99-3.15
Si 0.0356 0.2500 0.6233 (multiplicity 4)  2 Si 2.47

- Energy relative to the elements: -0.77 eV per atom



Record 8
A relaxed structure of GdSi2. Source: the Materials Project, functional PBE.

Cell lengths 4.0812, 4.0812, 4.0366 Å; angles 90.00, 90.00, 120.00 degrees
Closest atoms and distances in Å follow each position.
Space group P6/mmm (No. 191)
Asymmetric unit:
Gd 0.0000 0.0000 0.0000 (multiplicity 1)  12 Si 3.10
Si 0.3333 0.6667 0.5000 (multiplicity 2)  3 Si 2.36

- Energy relative to the elements: -0.52 eV per atom